Entry 1:
Material: Pm2ZnRh
Method: DFT, PBE-GGA
State: optimized geometry Values from VASP.

Geometry as Quantum ESPRESSO input:
```
&SYSTEM
  ibrav = 0, nat = 4, ntyp = 3
/
ATOMIC_SPECIES
Pm 145.00 Pm.upf
Zn 65.41 Zn.upf
Rh 102.91 Rh.upf
CELL_PARAMETERS angstrom
0.000 3.592 3.592
3.592 0.000 3.592
3.592 3.592 0.000
ATOMIC_POSITIONS crystal
Pm 0.250 0.250 0.250
Pm 0.750 0.750 0.750
Zn 0.000 0.000 0.000
Rh 0.500 0.500 0.500
```

Values from the calculation:
Energy relative to the elements in eV/atom: -0.499
Symmetry: Fm-3m (225)
Total DFT energy (no corrections) in eV/atom: -5.031


Entry 2:
Material: PmSmRu2
Method: DFT, PBE-GGA
State: optimized geometry Values from VASP.

Geometry as Quantum ESPRESSO input:
```
&SYSTEM
  ibrav = 0, nat = 4, ntyp = 3
/
ATOMIC_SPECIES
Pm 145.00 Pm.upf
Sm 150.36 Sm.upf
Ru 101.07 Ru.upf
CELL_PARAMETERS angstrom
0.000 3.478 3.478
3.478 0.000 3.478
3.478 3.478 0.000
ATOMIC_POSITIONS crystal
Pm 0.500 0.500 0.500
Sm 0.000 0.000 0.000
Ru 0.250 0.250 0.250
Ru 0.750 0.750 0.750
```

Values from the calculation:
Energy relative to the elements in eV/atom: -0.142
Symmetry: Fm-3m (225)
Total DFT energy (no corrections) in eV/atom: -7.146


Entry 3:
Material: PmS
Method: DFT, PBE-GGA
State: optimized geometry Values from VASP.

Geometry as Quantum ESPRESSO input:
```
&SYSTEM
  ibrav = 0, nat = 4, ntyp = 2
/
ATOMIC_SPECIES
Pm 145.00 Pm.upf
S 32.06 S.upf
CELL_PARAMETERS angstrom
-1.973 1.973 10.629
1.973 -1.973 10.629
1.973 1.973 -10.629
ATOMIC_POSITIONS crystal
Pm 0.305 0.305 0.000
Pm 0.695 0.695 0.000
S 0.171 0.171 0.000
S 0.829 0.829 0.000
```

Values from the calculation:
Energy relative to the elements in eV/atom: -2.046
ΔE to the lowest computed polymorph in eV/atom: 0.238
Symmetry: I4/mmm (139)
Total DFT energy (no corrections) in eV/atom: -6.238


Entry 4:
Material: PmS2
Method: DFT, PBE-GGA
State: optimized geometry Values from VASP.

Geometry as Quantum ESPRESSO input:
```
&SYSTEM
  ibrav = 0, nat = 6, ntyp = 2
/
ATOMIC_SPECIES
Pm 145.00 Pm.upf
S 32.06 S.upf
CELL_PARAMETERS angstrom
-1.313 1.383 3.451
-0.169 -3.678 1.410
7.706 0.667 2.664
ATOMIC_POSITIONS crystal
Pm 0.000 0.500 0.725
Pm 0.500 0.000 0.275
S 0.000 0.000 0.000
S 0.500 0.500 0.000
S 0.000 0.500 0.367
S 0.500 0.000 0.633
```

Values from the calculation:
Energy relative to the elements in eV/atom: -2.005
ΔE to the lowest computed polymorph in eV/atom: 0.073
Symmetry: P4/nmm (129)
Total DFT energy (no corrections) in eV/atom: -6.011